Material: Te4N5F21
Method: DFT, PBE
State: relaxed

Geometry as extended XYZ:
```
60
Lattice="-9.968 4.683 9.348 5.994 -8.023 10.411 3.667 4.736 1.538" Properties=species:S:1:pos:R:3 pbc="T T T"
N -0.996 5.245 11.060
N 1.305 1.694 4.132
N -5.396 4.920 10.121
N -1.168 -1.211 6.539
N 5.081 -3.535 11.173
N -1.987 -1.670 9.879
N 1.834 2.368 0.769
N -1.604 -0.288 17.168
N 4.348 0.876 11.771
N -2.798 -2.119 13.223
F 0.846 4.512 3.090
F -5.066 0.989 16.024
F -0.411 3.154 8.383
F -2.163 1.156 8.164
F -3.730 3.792 12.334
F -1.246 1.625 2.652
F -1.346 -3.181 17.686
F -3.190 1.085 12.012
F -3.080 3.584 8.827
F -2.843 3.684 14.859
F 1.297 -3.800 14.046
F 0.948 4.599 5.756
F -1.071 2.075 5.908
F 0.000 0.000 0.000
F 1.486 0.026 13.493
F 3.126 -4.333 8.576
F -5.365 6.643 12.514
F 2.799 -2.155 12.480
F -1.305 2.788 12.822
F 1.620 0.509 16.746
F 1.501 -1.474 8.705
F 2.420 -5.681 11.808
F -6.368 2.374 7.961
F -3.666 2.532 6.385
F -6.307 2.017 11.515
F 4.693 -2.676 14.919
F 4.599 0.375 7.303
F 7.343 -2.296 9.741
F 4.142 3.002 5.658
F -2.279 1.033 14.595
F 1.946 0.329 6.690
F -7.859 4.177 11.739
F 3.154 -1.666 4.599
F 4.215 -1.373 9.295
F 5.615 -5.284 8.745
F 2.728 0.842 9.200
F -0.153 0.698 10.648
F -0.029 -1.703 15.056
F 0.127 -1.995 12.407
F -3.396 6.144 7.050
F 0.785 -0.615 19.019
F -0.807 3.097 17.166
Te -2.027 2.837 7.403
Te 0.578 5.854 4.336
Te 1.388 -1.871 13.755
Te 3.030 -0.546 8.014
Te 2.450 -0.151 18.359
Te -3.005 2.371 13.422
Te 4.295 -5.381 7.451
Te -7.937 2.470 12.446
```

## Properties
The MP2020-corrected energy is -120.554 eV/f.u. The value obtained for the total DFT energy (no corrections) is -221.70 eV/cell. Its magnetic moment is 37.1 Bohr magnetons per cell.